Record 1
# PrI3O9 PBE relaxed
data_PrI3O9
_chemical_formula_sum 'Pr2 I6 O18'
_cell_length_a 6.968
_cell_length_b 8.275
_cell_length_c 6.655
_cell_angle_alpha 90.00
_cell_angle_beta 90.00
_cell_angle_gamma 90.00
_symmetry_space_group_name_H-M 'P m m n'
_symmetry_Int_Tables_number 59
loop_
_symmetry_equiv_pos_as_xyz
'x,y,z'
'-x,-y,-z'
'-x+1/2,-y+1/2,z'
'x+1/2,y+1/2,-z'
'x+1/2,-y,-z'
'-x+1/2,y,z'
'-x,y+1/2,-z'
'x,-y+1/2,z'
loop_
_atom_site_label
_atom_site_type_symbol
_atom_site_fract_x
_atom_site_fract_y
_atom_site_fract_z
_atom_site_occupancy
Pr1 Pr 0.250 0.250 0.115 1
I1 I 0.250 0.545 0.640 1
I2 I 0.250 0.750 0.104 1
O1 O 0.071 0.607 0.971 1
O2 O 0.072 0.750 0.595 1
O3 O 0.250 0.015 0.369 1
O4 O 0.250 0.250 0.760 1
# * distance to the lowest polymorph of the same formula: 0.492 eV/atom
# * energy: -4.654 eV per atom



Record 2
# Pr7I3O18 PBE relaxed
data_Pr7I3O18
_chemical_formula_sum 'Pr14 I6 O36'
_cell_length_a 17.0014
_cell_length_b 17.0014
_cell_length_c 4.2264
_cell_angle_alpha 90.00
_cell_angle_beta 90.00
_cell_angle_gamma 120.00
_symmetry_space_group_name_H-M 'P 63/m'
_symmetry_Int_Tables_number 176
_symmetry_space_group_name_Hall '-P 6c'
loop_
_atom_site_label
_atom_site_type_symbol
_atom_site_fract_x
_atom_site_fract_y
_atom_site_fract_z
_atom_site_occupancy
Pr1 Pr 0.0479 0.8417 0.2500 1
Pr2 Pr 0.1331 0.4434 0.7500 1
Pr3 Pr 0.3333 0.6667 0.2500 1
I1 I 0.1088 0.6508 0.7500 1
O1 O 0.0157 0.3102 0.7500 1
O2 O 0.0797 0.9078 0.7500 1
O3 O 0.1129 0.5043 0.2500 1
O4 O 0.1478 0.7769 0.7500 1
O5 O 0.2049 0.5108 0.2500 1
O6 O 0.2253 0.6532 0.7500 1
# * energy: -6.458 eV per atom



Record 3
# Pr30Ti24Se58I8O25 PBE relaxed
data_Pr30Ti24Se58I8O25
_chemical_formula_sum 'Pr120 Ti96 Se232 I32 O100'
_cell_length_a 23.592
_cell_length_b 23.592
_cell_length_c 23.592
_cell_angle_alpha 90.00
_cell_angle_beta 90.00
_cell_angle_gamma 90.00
_symmetry_space_group_name_H-M 'F m -3 m'
_symmetry_Int_Tables_number 225
_symmetry_space_group_name_Hall '-F 4 2 3'
loop_
_atom_site_label
_atom_site_type_symbol
_atom_site_fract_x
_atom_site_fract_y
_atom_site_fract_z
_atom_site_occupancy
Pr1 Pr 0.000 0.000 0.145 1
Pr2 Pr 0.085 0.085 0.263 1
Ti1 Ti 0.000 0.000 0.410 1
Ti2 Ti 0.000 0.152 0.152 1
Ti3 Ti 0.000 0.250 0.250 1
Se1 Se 0.000 0.000 0.306 1
Se2 Se 0.000 0.172 0.328 1
Se3 Se 0.078 0.078 0.422 1
Se4 Se 0.083 0.083 0.083 1
Se5 Se 0.083 0.198 0.198 1
I1 I 0.173 0.173 0.327 1
O1 O 0.000 0.000 0.500 1
O2 O 0.000 0.088 0.201 1
# * energy: -6.652 eV per atom



Record 4
# Pu2I2O PBE relaxed
data_Pu2I2O
_chemical_formula_sum 'Pu2 I2 O1'
_cell_length_a 3.829
_cell_length_b 3.829
_cell_length_c 14.976
_cell_angle_alpha 90.00
_cell_angle_beta 90.00
_cell_angle_gamma 90.00
_symmetry_space_group_name_H-M 'P 4/m m m'
_symmetry_Int_Tables_number 123
_symmetry_space_group_name_Hall '-P 4 2'
loop_
_atom_site_label
_atom_site_type_symbol
_atom_site_fract_x
_atom_site_fract_y
_atom_site_fract_z
_atom_site_occupancy
Pu1 Pu 0.000 0.000 0.135 1
I1 I 0.000 0.000 0.325 1
O1 O 0.000 0.000 0.000 1
# * energy: -8.070 eV per atom



Record 5
# RbI3O9 PBE relaxed
data_RbI3O9
_chemical_formula_sum 'Rb2 I6 O18'
_cell_length_a 8.247
_cell_length_b 8.328
_cell_length_c 8.384
_cell_angle_alpha 71.50
_cell_angle_beta 66.92
_cell_angle_gamma 61.22
_symmetry_space_group_name_H-M 'P -1'
_symmetry_Int_Tables_number 2
_symmetry_space_group_name_Hall '-P 1'
loop_
_atom_site_label
_atom_site_type_symbol
_atom_site_fract_x
_atom_site_fract_y
_atom_site_fract_z
_atom_site_occupancy
Rb1 Rb 0.247 0.274 0.281 1
I1 I 0.215 0.707 0.796 1
I2 I 0.226 0.767 0.267 1
I3 I 0.254 0.191 0.806 1
O1 O 0.009 0.253 0.653 1
O2 O 0.042 0.123 0.134 1
O3 O 0.156 0.528 0.775 1
O4 O 0.188 0.867 0.453 1
O5 O 0.252 0.614 0.013 1
O6 O 0.327 0.939 0.824 1
O7 O 0.384 0.525 0.330 1
O8 O 0.402 0.212 0.576 1
O9 O 0.426 0.160 0.918 1
# * distance to the lowest polymorph of the same formula: 0.000 eV/atom
# * energy: -4.201 eV per atom



Record 6
# RbI3O9 PBE relaxed
data_RbI3O9
_chemical_formula_sum 'Rb4 I12 O36'
_cell_length_a 7.114
_cell_length_b 7.490
_cell_length_c 18.379
_cell_angle_alpha 79.48
_cell_angle_beta 85.09
_cell_angle_gamma 71.51
_symmetry_space_group_name_H-M 'P -1'
_symmetry_Int_Tables_number 2
_symmetry_space_group_name_Hall '-P 1'
loop_
_atom_site_label
_atom_site_type_symbol
_atom_site_fract_x
_atom_site_fract_y
_atom_site_fract_z
_atom_site_occupancy
Rb1 Rb 0.042 0.091 0.172 1
Rb2 Rb 0.195 0.173 0.505 1
I1 I 0.017 0.597 0.305 1
I2 I 0.020 0.639 0.075 1
I3 I 0.393 0.862 0.969 1
I4 I 0.440 0.434 0.834 1
I5 I 0.478 0.492 0.605 1
I6 I 0.479 0.051 0.301 1
O1 O 0.013 0.082 0.367 1
O2 O 0.021 0.531 0.406 1
O3 O 0.117 0.147 0.704 1
O4 O 0.152 0.672 0.150 1
O5 O 0.155 0.397 0.063 1
O6 O 0.156 0.781 0.991 1
O7 O 0.162 0.472 0.834 1
O8 O 0.210 0.206 0.306 1
O9 O 0.257 0.053 0.898 1
O10 O 0.275 0.612 0.298 1
O11 O 0.302 0.518 0.531 1
O12 O 0.308 0.488 0.686 1
O13 O 0.347 0.003 0.046 1
O14 O 0.425 0.684 0.814 1
O15 O 0.448 0.405 0.936 1
O16 O 0.451 0.933 0.227 1
O17 O 0.479 0.877 0.386 1
O18 O 0.481 0.739 0.594 1
# * distance to the lowest polymorph of the same formula: 0.007 eV/atom
# * energy: -4.194 eV per atom



> Which of these has the highest energy?

number 6